Entry 1:
Here is a relaxed LiMg6MnO8 crystal from Materials Project. Energies are from GGA+U.

Calculated values
Space-group type: P4/mmm, No. 123
Total magnetic moment, μB/f.u.: 4.00
Calculated density, Mg/m³: 3.66
Formation enthalpy at 0 K, eV/atom: -2.80

Unit cell a=8.5210 b=4.2274 c=4.2274 alpha=90.00 beta=90.00 gamma=90.00
Fractional coordinates of all 16 atoms:
Mg: 0.7549 0.0000 0.5000
O: 0.5000 0.5000 0.0000
Li: 0.0000 0.5000 0.5000
O: 0.5000 0.0000 0.5000
O: 0.2387 0.0000 0.0000
O: 0.0000 0.0000 0.5000
Mg: 0.7549 0.5000 0.0000
O: 0.7435 0.5000 0.5000
Mg: 0.2451 0.5000 0.0000
O: 0.2565 0.5000 0.5000
Mg: 0.2451 0.0000 0.5000
O: 0.0000 0.5000 0.0000
Mg: 0.5000 0.0000 0.0000
Mg: 0.5000 0.5000 0.5000
Mn: 0.0000 0.0000 0.0000
O: 0.7613 0.0000 0.0000

---

Entry 2:
Here is a relaxed LiMg2Mn3O8 crystal from Materials Project. Energies are from GGA+U.

Calculated values
Space-group type: R3m, No. 160
Total magnetic moment, μB/f.u.: 10.00
Calculated density, Mg/m³: 3.87
Formation enthalpy at 0 K, eV/atom: -2.31

Unit cell a=5.9562 b=5.9562 c=5.9562 alpha=59.97 beta=59.97 gamma=59.97
Fractional coordinates of all 14 atoms:
O: 0.2586 0.2586 0.2586
O: 0.7450 0.7450 0.2904
O: 0.7077 0.2545 0.2545
O: 0.2904 0.7450 0.7450
O: 0.2545 0.7077 0.2545
Li: 0.1172 0.1172 0.1172
Mn: 0.4988 0.4988 0.0043
O: 0.2545 0.2545 0.7077
Mg: 0.8826 0.8826 0.8826
Mn: 0.0043 0.4988 0.4988
Mg: 0.5001 0.5001 0.5001
O: 0.7450 0.2904 0.7450
Mn: 0.4988 0.0043 0.4988
O: 0.7423 0.7423 0.7423

---

Entry 3:
Here is a relaxed LiMg6MnO8 crystal from Materials Project. Energies are from GGA+U.

Calculated values
Space-group type: P4/mmm, No. 123
Total magnetic moment, μB/f.u.: 4.00
Calculated density, Mg/m³: 3.62
Formation enthalpy at 0 K, eV/atom: -2.81

Unit cell a=8.5025 b=4.2571 c=4.2571 alpha=90.00 beta=90.00 gamma=90.00
Fractional coordinates of all 16 atoms:
Mg: 0.7385 0.0000 0.5000
O: 0.2465 0.5000 0.5000
O: 0.7707 0.0000 0.0000
Mg: 0.5000 0.5000 0.5000
Mg: 0.2615 0.0000 0.5000
Mg: 0.0000 0.5000 0.5000
Mg: 0.7385 0.5000 0.0000
O: 0.0000 0.5000 0.0000
Mg: 0.2615 0.5000 0.0000
O: 0.0000 0.0000 0.5000
O: 0.7535 0.5000 0.5000
O: 0.2293 0.0000 0.0000
O: 0.5000 0.0000 0.5000
Mn: 0.0000 0.0000 0.0000
O: 0.5000 0.5000 0.0000
Li: 0.5000 0.0000 0.0000

---

Entry 4:
Here is a relaxed Li3MgNi3O8 crystal from Materials Project. Energies are from GGA+U.

Calculated values
Space-group type: P2/m, No. 10
Total magnetic moment, μB/f.u.: 1.00
Calculated density, Mg/m³: 4.21
Formation enthalpy at 0 K, eV/atom: -1.54

Unit cell a=5.7869 b=4.9188 c=5.0956 alpha=71.82 beta=90.00 gamma=90.00
Fractional coordinates of all 15 atoms:
Ni: 0.0000 0.5000 0.0000
O: 0.7626 0.2558 0.2094
Ni: 0.7527 0.0000 0.0000
Li: 0.2408 0.5000 0.5000
O: 0.7626 0.7442 0.7906
O: 0.0000 0.2496 0.7917
Li: 0.5000 0.0000 0.5000
Ni: 0.2473 0.0000 0.0000
O: 0.5000 0.2176 0.7740
Mg: 0.5000 0.5000 0.0000
O: 0.2374 0.7442 0.7906
O: 0.5000 0.7824 0.2260
O: 0.2374 0.2558 0.2094
Li: 0.7592 0.5000 0.5000
O: 0.0000 0.7504 0.2083

---

Entry 5:
Here is a relaxed Li3MgNi3O8 crystal from Materials Project. Energies are from GGA+U.

Calculated values
Calculated density, Mg/m³: 4.21
Formation enthalpy at 0 K, eV/atom: -1.55

Unit cell a=4.9016 b=7.6683 c=7.7503 alpha=97.19 beta=101.01 gamma=101.98
Fractional coordinates of all 30 atoms:
Ni: 0.9983 0.2537 0.7488
O: 0.2580 0.1541 0.6425
Ni: 0.4997 0.8770 0.1293
O: 0.7592 0.7718 0.0269
O: 0.7417 0.8640 0.3478
Mg: 0.4988 0.1261 0.8750
O: 0.7343 0.1025 0.1116
Ni: 0.9983 0.7537 0.2487
O: 0.7736 0.0204 0.7474
O: 0.7342 0.6026 0.6116
Li: 0.5020 0.0058 0.4988
Ni: 0.9978 0.0022 0.0031
O: 0.2579 0.6540 0.1424
Ni: 0.9978 0.5022 0.5031
O: 0.7417 0.3640 0.8478
O: 0.2537 0.9780 0.2427
O: 0.7735 0.5205 0.2473
Li: 0.5020 0.5058 0.9988
O: 0.2079 0.2440 0.9793
O: 0.2078 0.7440 0.4793
Mg: 0.4988 0.6261 0.3750
O: 0.2628 0.8897 0.9077
O: 0.2628 0.3897 0.4077
Li: 0.5024 0.7376 0.7686
O: 0.2537 0.4780 0.7428
Li: 0.9954 0.3836 0.1192
Ni: 0.4998 0.3770 0.6293
Li: 0.9954 0.8836 0.6192
Li: 0.5023 0.2375 0.2686
O: 0.7592 0.2718 0.5268

---

Entry 6:
Here is a relaxed Li4MgNi3O8 crystal from Materials Project. Energies are from GGA+U.

Calculated values
Space-group type: P-1, No. 2
Total magnetic moment, μB/f.u.: 2.00
Calculated density, Mg/m³: 4.25
Formation enthalpy at 0 K, eV/atom: -1.72

Unit cell a=5.7852 b=10.0628 c=5.8547 alpha=107.19 beta=119.65 gamma=90.02
Fractional coordinates of all 32 atoms:
Mg: 0.2521 0.2500 0.0004
Li: 0.2437 0.7459 0.5010
O: 0.6518 0.3827 0.7566
O: 0.6449 0.8884 0.7815
O: 0.8632 0.6116 0.2182
O: 0.9019 0.6221 0.7842
Ni: 0.0001 0.0001 0.0001
Ni: 0.2457 0.7500 0.9997
O: 0.0981 0.3779 0.2158
O: 0.8955 0.1171 0.2436
O: 0.3756 0.6261 0.7839
O: 0.6243 0.3739 0.2161
Li: 0.5000 0.5000 0.5000
Li: 0.7419 0.7548 0.4984
O: 0.4082 0.1261 0.7843
Li: 0.5000 0.0000 0.5000
Li: 0.0000 0.5000 0.5000
O: 0.1045 0.8828 0.7564
Ni: 0.5000 0.5000 0.0000
O: 0.8824 0.1223 0.7846
Li: 0.7563 0.2541 0.4991
Ni: 0.5000 0.0000 0.0000
O: 0.1367 0.3884 0.7818
Li: 0.2581 0.2452 0.5017
Mg: 0.7479 0.7500 0.9996
Ni: 0.0000 0.5000 0.0000
O: 0.3482 0.6173 0.2434
Ni: 0.7542 0.2500 0.0003
O: 0.3551 0.1115 0.2185
Li: 0.0000 0.0000 0.5000
O: 0.1176 0.8777 0.2154
O: 0.5918 0.8739 0.2157

---

Entry 7:
Here is a relaxed Li2MgNi3O8 crystal from Materials Project. Energies are from GGA+U.

Calculated values
Space-group type: C2/m, No. 12
Total magnetic moment, μB/f.u.: 0.00
Calculated density, Mg/m³: 4.19
Formation enthalpy at 0 K, eV/atom: -1.41

Unit cell a=5.6825 b=5.6825 c=5.8572 alpha=61.02 beta=61.02 gamma=59.95
Fractional coordinates of all 14 atoms:
Li: 0.5000 0.5000 0.5000
O: 0.7567 0.2850 0.2103
O: 0.7150 0.2433 0.7897
Ni: 0.5000 0.5000 0.0000
Ni: 0.0000 0.5000 0.0000
Li: 0.0000 0.0000 0.5000
O: 0.7528 0.7528 0.2059
Ni: 0.5000 0.0000 0.0000
O: 0.2666 0.2666 0.1954
O: 0.2472 0.2472 0.7941
Mg: 0.0000 0.0000 0.0000
O: 0.2433 0.7150 0.7897
O: 0.2850 0.7567 0.2103
O: 0.7334 0.7334 0.8046

---

Entry 8:
Here is a relaxed Li3MgNi4O8 crystal from Materials Project. Energies are from GGA+U.

Calculated values
Space-group type: R-3m, No. 166
Total magnetic moment, μB/f.u.: 5.00
Calculated density, Mg/m³: 4.74
Formation enthalpy at 0 K, eV/atom: -1.65

Unit cell a=5.8680 b=5.8680 c=5.8680 alpha=60.03 beta=60.03 gamma=60.03
Fractional coordinates of all 16 atoms:
O: 0.2571 0.2571 0.2571
Ni: 0.0000 0.5000 0.5000
O: 0.2652 0.7500 0.7500
O: 0.7500 0.7500 0.2652
Ni: 0.5000 0.5000 0.0000
Ni: 0.5000 0.0000 0.5000
Li: 0.0000 0.0000 0.5000
O: 0.7429 0.7429 0.7429
Mg: 0.5000 0.5000 0.5000
O: 0.7348 0.2500 0.2500
O: 0.7500 0.2652 0.7500
Li: 0.0000 0.5000 0.0000
O: 0.2500 0.7348 0.2500
Ni: 0.0000 0.0000 0.0000
Li: 0.5000 0.0000 0.0000
O: 0.2500 0.2500 0.7348

---

Entry 9:
Here is a relaxed Li4MgNi3O8 crystal from Materials Project. Energies are from GGA+U.

Calculated values
Space-group type: R-3m, No. 166
Total magnetic moment, μB/f.u.: 2.00
Calculated density, Mg/m³: 4.28
Formation enthalpy at 0 K, eV/atom: -1.71

Unit cell a=5.8247 b=5.8247 c=5.8247 alpha=59.50 beta=59.50 gamma=59.50
Fractional coordinates of all 16 atoms:
Li: 0.0000 0.5000 0.5000
Li: 0.0000 0.0000 0.0000
Li: 0.5000 0.5000 0.0000
O: 0.7481 0.7481 0.2215
O: 0.2519 0.7785 0.2519
Ni: 0.0000 0.0000 0.5000
O: 0.2215 0.7481 0.7481
Mg: 0.5000 0.5000 0.5000
O: 0.2519 0.2519 0.7785
Li: 0.5000 0.0000 0.5000
Ni: 0.0000 0.5000 0.0000
O: 0.7481 0.2215 0.7481
Ni: 0.5000 0.0000 0.0000
O: 0.7785 0.2519 0.2519
O: 0.7526 0.7526 0.7526
O: 0.2474 0.2474 0.2474

---

Entry 10:
Here is a relaxed Li6MgNi12O26 crystal from Materials Project. Energies are from GGA+U.

Calculated values
Space-group type: P1, No. 1
Total magnetic moment, μB/f.u.: 4.00
Calculated density, Mg/m³: 4.45
Formation enthalpy at 0 K, eV/atom: -1.21

Unit cell a=7.4863 b=7.6827 c=8.1284 alpha=78.07 beta=75.36 gamma=86.62
Fractional coordinates of all 45 atoms:
Ni: 0.4619 0.3071 0.3094
O: 0.6170 0.1016 0.3056
O: 0.9903 0.9713 0.7582
O: 0.2492 0.1290 0.9279
O: 0.7727 0.8164 0.6187
O: 0.0030 0.0372 0.2398
O: 0.3034 0.5656 0.7612
Ni: 0.7710 0.8438 0.8432
O: 0.9220 0.5806 0.3742
O: 0.0568 0.3692 0.1619
Ni: 0.9215 0.6131 0.6149
Ni: 0.1529 0.7727 0.7683
O: 0.8683 0.2452 0.4563
Ni: 0.3032 0.5441 0.5377
O: 0.8282 0.2103 0.0103
O: 0.0793 0.4120 0.6067
Li: 0.3960 0.9334 0.4373
Ni: 0.0767 0.3848 0.3817
O: 0.7631 0.8587 0.0720
Ni: 0.3872 0.9215 0.9214
Li: 0.9761 0.9925 0.4941
Li: 0.9458 0.6121 0.1096
O: 0.3074 0.5113 0.3109
O: 0.6149 0.0517 0.8526
O: 0.1526 0.7511 0.5417
Li: 0.8543 0.2497 0.7466
O: 0.6825 0.4372 0.2374
Mg: 0.0047 0.0012 0.0017
Ni: 0.6918 0.4612 0.4616
Ni: 0.5371 0.6938 0.6900
O: 0.4057 0.9278 0.1489
O: 0.2399 0.1797 0.3812
O: 0.3673 0.9086 0.6981
Ni: 0.6177 0.0691 0.0803
O: 0.4580 0.3416 0.5360
Li: 0.5311 0.6857 0.1775
Ni: 0.2341 0.1522 0.1553
Li: 0.4356 0.3157 0.8120
O: 0.6980 0.4688 0.6854
O: 0.1722 0.7863 0.9879
O: 0.4635 0.2723 0.0849
O: 0.5452 0.7188 0.9128
Ni: 0.8467 0.2316 0.2322
O: 0.9290 0.6487 0.8549
O: 0.5141 0.6819 0.4668

---

Entry 11:
Here is a relaxed Li9MgNi12O26 crystal from Materials Project. Energies are from GGA+U.

Calculated values
Space-group type: P1, No. 1
Total magnetic moment, μB/f.u.: 7.00
Calculated density, Mg/m³: 4.48
Formation enthalpy at 0 K, eV/atom: -1.38

Unit cell a=7.5518 b=7.7301 c=8.1583 alpha=103.70 beta=104.58 gamma=87.80
Fractional coordinates of all 48 atoms:
Ni: 0.5361 0.6967 0.3106
Mg: 0.9962 0.0032 0.0010
O: 0.2404 0.1427 0.0814
O: 0.3664 0.9171 0.3023
O: 0.1344 0.7545 0.4560
Li: 0.6934 0.4496 0.0412
Ni: 0.9191 0.6115 0.3781
Ni: 0.1519 0.7695 0.2308
O: 0.5417 0.6561 0.5424
O: 0.3113 0.5630 0.2353
O: 0.5332 0.7260 0.0764
O: 0.2950 0.5288 0.6885
O: 0.8530 0.2511 0.5439
O: 0.7577 0.8626 0.9264
Ni: 0.2328 0.1595 0.8456
Li: 0.9968 0.9937 0.5001
Ni: 0.3807 0.9260 0.0760
O: 0.9375 0.6231 0.1466
Li: 0.0841 0.3909 0.1146
Ni: 0.6948 0.4551 0.5331
O: 0.6964 0.4808 0.2902
O: 0.0926 0.3941 0.3883
O: 0.4760 0.3077 0.4636
Ni: 0.3096 0.5374 0.4630
Ni: 0.8463 0.2318 0.7705
O: 0.8318 0.2182 0.9935
O: 0.5950 0.0676 0.1477
O: 0.4673 0.2774 0.9218
O: 0.0590 0.3793 0.8433
O: 0.6938 0.4344 0.7842
Li: 0.2233 0.1498 0.3518
O: 0.7532 0.8358 0.3805
Li: 0.4728 0.3069 0.1930
O: 0.0081 0.0345 0.7591
Li: 0.5384 0.7053 0.7972
Li: 0.6128 0.0641 0.4368
Li: 0.9303 0.6173 0.8827
Ni: 0.0778 0.3887 0.6157
O: 0.9280 0.5901 0.6155
O: 0.0034 0.9688 0.2456
Ni: 0.7651 0.8501 0.1564
Li: 0.1589 0.7683 0.7256
O: 0.3945 0.9318 0.8498
Ni: 0.4644 0.3056 0.6941
O: 0.6339 0.0876 0.6980
Ni: 0.6153 0.0710 0.9203
O: 0.1612 0.7858 0.0029
O: 0.2270 0.1864 0.6139

---

Entry 12:
Here is a relaxed Li4MgNi3O8 crystal from Materials Project. Energies are from GGA+U.

Calculated values
Space-group type: P-1, No. 2
Total magnetic moment, μB/f.u.: 0.00
Calculated density, Mg/m³: 4.26
Formation enthalpy at 0 K, eV/atom: -1.71

Unit cell a=5.7742 b=5.8090 c=8.2821 alpha=89.36 beta=90.01 gamma=90.01
Fractional coordinates of all 32 atoms:
Ni: 0.0000 0.0000 0.0000
O: 0.2536 0.2797 0.5022
O: 0.2730 0.7610 0.9955
O: 0.4879 0.5160 0.2707
Mg: 0.7508 0.7503 0.2503
Li: 0.2525 0.7498 0.7501
O: 0.7472 0.7804 0.0024
Ni: 0.5000 0.0000 0.0000
O: 0.4883 0.9848 0.2292
O: 0.7464 0.7204 0.4978
Li: 0.5000 0.0001 0.5000
Ni: 0.7483 0.2500 0.7499
O: 0.5117 0.0153 0.7707
Li: 0.9998 0.4998 0.0000
Ni: 0.5000 0.5001 0.5000
O: 0.0136 0.5166 0.2635
O: 0.5121 0.4840 0.7293
O: 0.2726 0.7384 0.5048
Li: 0.9998 0.0002 0.5000
O: 0.7272 0.2389 0.0045
O: 0.2529 0.2195 0.9976
O: 0.0143 0.9831 0.2371
O: 0.9857 0.0169 0.7629
Li: 0.7475 0.2502 0.2499
Li: 0.5000 0.5000 0.0000
Ni: 0.0000 0.5001 0.5000
Li: 0.2502 0.2495 0.2506
O: 0.7274 0.2616 0.4952
Li: 0.7498 0.7505 0.7494
Mg: 0.2492 0.2497 0.7497
Ni: 0.2517 0.7500 0.2501
O: 0.9864 0.4834 0.7365

---

Entry 13:
Here is a relaxed Li3MgNi3O8 crystal from Materials Project. Energies are from GGA+U.

Calculated values
Total magnetic moment, μB/f.u.: 0.00
Calculated density, Mg/m³: 4.20
Formation enthalpy at 0 K, eV/atom: -1.55

Unit cell a=4.9036 b=7.6715 c=7.7590 alpha=97.07 beta=101.16 gamma=102.08
Fractional coordinates of all 30 atoms:
O: 0.2566 0.1531 0.6430
O: 0.7423 0.3637 0.8480
O: 0.2088 0.2444 0.9796
O: 0.7576 0.7707 0.0275
O: 0.2537 0.4776 0.7423
Mg: 0.4987 0.1260 0.8755
Ni: 0.9981 0.5016 0.5034
O: 0.2538 0.9778 0.2424
O: 0.2624 0.3896 0.4084
Li: 0.9943 0.3857 0.1160
Ni: 0.9983 0.7534 0.2493
O: 0.2572 0.6538 0.1433
Ni: 0.9980 0.2532 0.7491
Li: 0.5016 0.0062 0.4986
Li: 0.5017 0.5062 0.9986
Ni: 0.5000 0.8767 0.1297
O: 0.7427 0.8641 0.3481
Li: 0.5043 0.7398 0.7677
Ni: 0.9981 0.0018 0.0034
O: 0.2624 0.8896 0.9085
Li: 0.5042 0.2398 0.2677
Li: 0.9944 0.8858 0.6160
O: 0.7723 0.0196 0.7478
O: 0.7573 0.2705 0.5274
O: 0.7360 0.1019 0.1116
O: 0.7356 0.6015 0.6114
O: 0.2091 0.7445 0.4798
Ni: 0.4997 0.3764 0.6296
O: 0.7727 0.5198 0.2478
Mg: 0.4989 0.6261 0.3755